Record 1
{
  "formula": "Dy6MnBi2",
  "functional": "GGA-PBE",
  "state": "relaxed",
  "lattice": [[8.316, 0.000, 0.000], [-4.158, 7.202, 0.000], [0.000, 0.000, 4.284]],
  "species": ["Dy", "Dy", "Dy", "Dy", "Dy", "Dy", "Mn", "Bi", "Bi"],
  "frac_coords": [[0.000, 0.233, 0.000], [0.000, 0.606, 0.500], [0.233, 0.000, 0.000], [0.394, 0.394, 0.500], [0.606, 0.000, 0.500], [0.767, 0.767, 0.000], [0.000, 0.000, 0.500], [0.333, 0.667, 0.000], [0.667, 0.333, 0.000]],
  "formation_energy_ev_per_atom": -0.405
}

Record 2
{
  "formula": "DyNiBi",
  "functional": "GGA-PBE",
  "state": "relaxed",
  "lattice": [[0.000, 3.246, 3.246], [3.246, 0.000, 3.246], [3.246, 3.246, 0.000]],
  "species": ["Dy", "Ni", "Bi"],
  "frac_coords": [[0.000, 0.000, 0.000], [0.250, 0.250, 0.250], [0.500, 0.500, 0.500]],
  "piezo_max_c_m2": 0.2,
  "formation_energy_ev_per_atom": -0.672
}

Record 3
{
  "formula": "Dy2BiO2",
  "functional": "GGA-PBE",
  "state": "relaxed",
  "lattice": [[-1.944, 1.944, 6.788], [1.944, -1.944, 6.788], [1.944, 1.944, -6.788]],
  "species": ["Dy", "Dy", "Bi", "O", "O"],
  "frac_coords": [[0.169, 0.169, 0.000], [0.831, 0.831, 0.000], [0.500, 0.500, 0.000], [0.250, 0.750, 0.500], [0.750, 0.250, 0.500]],
  "energy_mp2020_ev_per_cell": -37.865,
  "formation_energy_ev_per_atom": -2.973
}

Record 4
{
  "formula": "DyBi12O20",
  "functional": "GGA-PBE",
  "state": "relaxed",
  "lattice": [[-5.172, 5.172, 5.172], [5.172, -5.172, 5.172], [5.172, 5.172, -5.172]],
  "species": ["Dy", "Bi", "Bi", "Bi", "Bi", "Bi", "Bi", "Bi", "Bi", "Bi", "Bi", "Bi", "Bi", "O", "O", "O", "O", "O", "O", "O", "O", "O", "O", "O", "O", "O", "O", "O", "O", "O", "O", "O", "O"],
  "frac_coords": [[0.000, 0.000, 0.000], [0.143, 0.831, 0.323], [0.169, 0.313, 0.492], [0.180, 0.687, 0.857], [0.313, 0.492, 0.169], [0.323, 0.143, 0.831], [0.492, 0.169, 0.313], [0.508, 0.820, 0.677], [0.677, 0.508, 0.820], [0.687, 0.857, 0.180], [0.820, 0.677, 0.508], [0.831, 0.323, 0.143], [0.857, 0.180, 0.687], [0.000, 0.000, 0.339], [0.000, 0.000, 0.754], [0.000, 0.339, 0.000], [0.000, 0.754, 0.000], [0.111, 0.358, 0.734], [0.246, 0.246, 0.246], [0.247, 0.889, 0.622], [0.266, 0.624, 0.378], [0.339, 0.000, 0.000], [0.358, 0.734, 0.111], [0.376, 0.642, 0.753], [0.378, 0.266, 0.624], [0.622, 0.247, 0.889], [0.624, 0.378, 0.266], [0.642, 0.753, 0.376], [0.661, 0.661, 0.661], [0.734, 0.111, 0.358], [0.753, 0.376, 0.642], [0.754, 0.000, 0.000], [0.889, 0.622, 0.247]],
  "energy_mp2020_ev_per_cell": -208.061,
  "formation_energy_ev_per_atom": -1.752,
  "m_tot_mub_per_atom": 0.000
}

Record 5
{
  "formula": "DyBiO3",
  "functional": "GGA-PBE",
  "state": "relaxed",
  "lattice": [[4.422, 0.000, 0.000], [0.000, 4.422, 0.000], [0.000, 0.000, 4.422]],
  "species": ["Dy", "Bi", "O", "O", "O"],
  "frac_coords": [[0.000, 0.000, 0.000], [0.500, 0.500, 0.500], [0.000, 0.500, 0.500], [0.500, 0.000, 0.500], [0.500, 0.500, 0.000]],
  "energy_mp2020_ev_per_cell": -31.776,
  "formation_energy_ev_per_atom": -1.687,
  "m_tot_mub_per_atom": 0.000
}

Record 6
{
  "formula": "Dy3BiRu4O14",
  "functional": "GGA-PBE",
  "state": "relaxed",
  "lattice": [[3.646, 2.105, 5.916], [-3.646, 2.105, 5.916], [0.000, -4.210, 5.916]],
  "species": ["Dy", "Dy", "Dy", "Bi", "Ru", "Ru", "Ru", "Ru", "O", "O", "O", "O", "O", "O", "O", "O", "O", "O", "O", "O", "O", "O"],
  "frac_coords": [[0.000, 0.500, 0.500], [0.500, 0.000, 0.500], [0.500, 0.500, 0.000], [0.500, 0.500, 0.500], [0.000, 0.000, 0.000], [0.000, 0.000, 0.500], [0.000, 0.500, 0.000], [0.500, 0.000, 0.000], [0.082, 0.667, 0.667], [0.085, 0.085, 0.665], [0.085, 0.665, 0.085], [0.333, 0.333, 0.918], [0.333, 0.918, 0.333], [0.335, 0.915, 0.915], [0.371, 0.371, 0.371], [0.629, 0.629, 0.629], [0.665, 0.085, 0.085], [0.667, 0.082, 0.667], [0.667, 0.667, 0.082], [0.915, 0.335, 0.915], [0.915, 0.915, 0.335], [0.918, 0.333, 0.333]],
  "energy_mp2020_ev_per_cell": -175.321,
  "formation_energy_ev_per_atom": -2.329,
  "m_tot_mub_per_atom": 0.017
}

Record 7
{
  "formula": "DyBiRu2O7",
  "functional": "GGA-PBE",
  "state": "relaxed",
  "lattice": [[-3.621, 3.663, 5.161], [3.621, -3.663, 5.161], [3.621, 3.663, -5.161]],
  "species": ["Dy", "Dy", "Bi", "Bi", "Ru", "Ru", "Ru", "Ru", "O", "O", "O", "O", "O", "O", "O", "O", "O", "O", "O", "O", "O", "O"],
  "frac_coords": [[0.000, 0.000, 0.000], [0.500, 0.000, 0.500], [0.500, 0.000, 0.000], [0.500, 0.500, 0.500], [0.000, 0.000, 0.500], [0.000, 0.500, 0.000], [0.000, 0.500, 0.500], [0.500, 0.500, 0.000], [0.082, 0.420, 0.251], [0.082, 0.831, 0.662], [0.082, 0.832, 0.250], [0.330, 0.580, 0.750], [0.331, 0.169, 0.751], [0.331, 0.580, 0.162], [0.366, 0.116, 0.250], [0.634, 0.884, 0.750], [0.669, 0.420, 0.838], [0.669, 0.831, 0.249], [0.670, 0.420, 0.250], [0.918, 0.168, 0.750], [0.918, 0.169, 0.338], [0.918, 0.580, 0.749]],
  "energy_mp2020_ev_per_cell": -168.898,
  "formation_energy_ev_per_atom": -2.070,
  "m_tot_mub_per_atom": 0.082
}

Record 8
{
  "formula": "Dy5BiPd2",
  "functional": "GGA-PBE",
  "state": "relaxed",
  "lattice": [[-3.921, 3.921, 6.837], [3.921, -3.921, 6.837], [3.921, 3.921, -6.837]],
  "species": ["Dy", "Dy", "Dy", "Dy", "Dy", "Dy", "Dy", "Dy", "Dy", "Dy", "Bi", "Bi", "Pd", "Pd", "Pd", "Pd"],
  "frac_coords": [[0.000, 0.000, 0.000], [0.015, 0.515, 0.810], [0.205, 0.015, 0.500], [0.295, 0.795, 0.810], [0.485, 0.295, 0.500], [0.500, 0.500, 0.000], [0.515, 0.705, 0.500], [0.705, 0.205, 0.190], [0.795, 0.985, 0.500], [0.985, 0.485, 0.190], [0.250, 0.250, 0.000], [0.750, 0.750, 0.000], [0.137, 0.363, 0.500], [0.363, 0.863, 0.227], [0.637, 0.137, 0.773], [0.863, 0.637, 0.500]],
  "formation_energy_ev_per_atom": -0.695
}